# 1
# Ti20H2N17 PBE optimized geometry
# Formation energy: -1.735 eV per atom
data_Ti20H2N17
_chemical_formula_sum 'Ti40 H4 N34'
_cell_length_a 15.621
_cell_length_b 3.008
_cell_length_c 16.940
_cell_angle_alpha 90.00
_cell_angle_beta 105.84
_cell_angle_gamma 90.00
_symmetry_space_group_name_H-M 'C 1 2/m 1'
_symmetry_Int_Tables_number 12
loop_
_symmetry_equiv_pos_as_xyz
'x,y,z'
'-x,-y,-z'
'-x,y,-z'
'x,-y,z'
'x+1/2,y+1/2,z'
'-x+1/2,-y+1/2,-z'
'-x+1/2,y+1/2,-z'
'x+1/2,-y+1/2,z'
loop_
_atom_site_label
_atom_site_fract_x
_atom_site_fract_y
_atom_site_fract_z
_atom_site_occupancy
Ti1 0.001 0.000 0.129 1
Ti2 0.004 0.000 0.376 1
Ti3 0.099 0.500 0.523 1
Ti4 0.100 0.500 0.273 1
Ti5 0.101 0.500 0.779 1
Ti6 0.105 0.500 0.026 1
Ti7 0.200 0.000 0.175 1
Ti8 0.200 0.000 0.923 1
Ti9 0.201 0.000 0.427 1
Ti10 0.204 0.000 0.676 1
H1 0.100 0.500 0.650 1
N1 0.000 0.000 0.251 1
N2 0.000 0.000 0.500 1
N3 0.099 0.500 0.149 1
N4 0.099 0.500 0.400 1
N5 0.099 0.500 0.901 1
N6 0.198 0.000 0.049 1
N7 0.199 0.000 0.799 1
N8 0.200 0.000 0.550 1
N9 0.201 0.000 0.301 1

# 2
# Na3NpH2O6 PBE optimized geometry
# Energy relative to the lowest polymorph listed for this composition: 0 meV/atom
# Formation energy: -2.290 eV per atom
# Total magnetization: 0.00 μB/cell
data_Na3NpH2O6
_chemical_formula_sum 'Na24 Np8 H16 O48'
_cell_length_a 6.063
_cell_length_b 20.525
_cell_length_c 10.334
_cell_angle_alpha 90.00
_cell_angle_beta 90.00
_cell_angle_gamma 90.00
_symmetry_space_group_name_H-M 'F d d 2'
_symmetry_Int_Tables_number 43
_symmetry_space_group_name_Hall 'F 2 -2d'
loop_
_atom_site_label
_atom_site_fract_x
_atom_site_fract_y
_atom_site_fract_z
_atom_site_occupancy
Na1 0.000 0.000 0.000 1
Na2 0.006 0.410 0.840 1
Np1 0.000 0.000 0.666 1
H1 0.011 0.359 0.364 1
O1 0.057 0.317 0.404 1
O2 0.112 0.304 0.785 1
O3 0.114 0.302 0.049 1

# 3
# Na4NpH7O9 PBE optimized geometry
# Formation energy: -1.901 eV per atom
# Total magnetization: 0.02 μB/cell
data_Na4NpH7O9
_chemical_formula_sum 'Na8 Np2 H14 O18'
_cell_length_a 6.042
_cell_length_b 8.172
_cell_length_c 10.999
_cell_angle_alpha 104.19
_cell_angle_beta 101.64
_cell_angle_gamma 105.89
_symmetry_space_group_name_H-M 'P -1'
_symmetry_Int_Tables_number 2
loop_
_symmetry_equiv_pos_as_xyz
'x,y,z'
'-x,-y,-z'
loop_
_atom_site_label
_atom_site_fract_x
_atom_site_fract_y
_atom_site_fract_z
_atom_site_occupancy
Na1 0.025 0.222 0.095 1
Na2 0.107 0.350 0.422 1
Na3 0.292 0.035 0.585 1
Na4 0.445 0.161 0.924 1
Np1 0.137 0.914 0.248 1
H1 0.086 0.323 0.631 1
H2 0.211 0.516 0.894 1
H3 0.259 0.611 0.786 1
H4 0.323 0.569 0.270 1
H5 0.343 0.675 0.618 1
H6 0.425 0.138 0.147 1
H7 0.486 0.456 0.313 1
O1 0.009 0.192 0.597 1
O2 0.076 0.946 0.748 1
O3 0.108 0.274 0.895 1
O4 0.253 0.570 0.638 1
O5 0.260 0.635 0.883 1
O6 0.288 0.031 0.094 1
O7 0.313 0.452 0.283 1
O8 0.353 0.779 0.242 1
O9 0.381 0.104 0.391 1

# 4
# Na3NpH2O6 PBE optimized geometry
# Energy relative to the lowest polymorph listed for this composition: 38 meV/atom
# Formation energy: -2.252 eV per atom
# Total magnetization: 0.00 μB/cell
data_Na3NpH2O6
_chemical_formula_sum 'Na24 Np8 H16 O48'
_cell_length_a 5.986
_cell_length_b 20.157
_cell_length_c 10.486
_cell_angle_alpha 90.00
_cell_angle_beta 90.00
_cell_angle_gamma 90.00
_symmetry_space_group_name_H-M 'F d d 2'
_symmetry_Int_Tables_number 43
_symmetry_space_group_name_Hall 'F 2 -2d'
loop_
_atom_site_label
_atom_site_fract_x
_atom_site_fract_y
_atom_site_fract_z
_atom_site_occupancy
Na1 0.000 0.000 0.000 1
Na2 0.024 0.412 0.164 1
Np1 0.000 0.000 0.340 1
H1 0.083 0.395 0.664 1
O1 0.004 0.192 0.089 1
O2 0.091 0.194 0.718 1
O3 0.104 0.189 0.432 1

# 5
# Na3NpH6O8 PBE optimized geometry
# Formation energy: -1.947 eV per atom
# Total magnetization: 0.00 μB/cell
data_Na3NpH6O8
_chemical_formula_sum 'Na6 Np2 H12 O16'
_cell_length_a 7.966
_cell_length_b 7.814
_cell_length_c 6.912
_cell_angle_alpha 90.00
_cell_angle_beta 112.33
_cell_angle_gamma 90.00
_symmetry_space_group_name_H-M 'P 1 21/c 1'
_symmetry_Int_Tables_number 14
loop_
_symmetry_equiv_pos_as_xyz
'x,y,z'
'-x,-y,-z'
'-x,y+1/2,-z+1/2'
'x,-y+1/2,z+1/2'
loop_
_atom_site_label
_atom_site_fract_x
_atom_site_fract_y
_atom_site_fract_z
_atom_site_occupancy
Na1 0.000 0.000 0.000 1
Na2 0.350 0.177 0.903 1
Np1 0.000 0.000 0.500 1
H1 0.214 0.711 0.845 1
H2 0.379 0.000 0.293 1
H3 0.415 0.572 0.127 1
O1 0.118 0.217 0.545 1
O2 0.154 0.565 0.280 1
O3 0.228 0.586 0.878 1
O4 0.469 0.063 0.248 1

# 6
# NaNpH2O4 PBE optimized geometry
# Formation energy: -2.371 eV per atom
# Total magnetization: 8.00 μB/cell
data_NaNpH2O4
_chemical_formula_sum 'Na4 Np4 H8 O16'
_cell_length_a 5.955
_cell_length_b 7.603
_cell_length_c 8.204
_cell_angle_alpha 90.00
_cell_angle_beta 90.00
_cell_angle_gamma 90.00
_symmetry_space_group_name_H-M 'P 21 21 21'
_symmetry_Int_Tables_number 19
loop_
_symmetry_equiv_pos_as_xyz
'x,y,z'
'-x+1/2,-y,z+1/2'
'x+1/2,-y+1/2,-z'
'-x,y+1/2,-z+1/2'
loop_
_atom_site_label
_atom_site_fract_x
_atom_site_fract_y
_atom_site_fract_z
_atom_site_occupancy
Na1 0.006 0.026 0.333 1
Np1 0.038 0.235 0.816 1
H1 0.127 0.882 0.999 1
H2 0.229 0.429 0.435 1
O1 0.096 0.928 0.888 1
O2 0.133 0.538 0.878 1
O3 0.187 0.789 0.199 1
O4 0.241 0.759 0.567 1

# 7
# NaHO PBE optimized geometry
# Formation energy: -1.504 eV per atom
# Total magnetization: 0.00 μB/cell
# Largest piezoelectric modulus: 1.46 C/m²
data_NaHO
_chemical_formula_sum 'Na3 H3 O3'
_cell_length_a 3.8113
_cell_length_b 3.8113
_cell_length_c 7.6215
_cell_angle_alpha 90.00
_cell_angle_beta 90.00
_cell_angle_gamma 120.00
_symmetry_space_group_name_H-M 'R 3 m'
_symmetry_Int_Tables_number 160
_symmetry_space_group_name_Hall 'R 3 -2"'
loop_
_atom_site_label
_atom_site_fract_x
_atom_site_fract_y
_atom_site_fract_z
_atom_site_occupancy
Na1 0.0000 0.0000 0.0000 1
H1 0.0000 0.0000 0.5993 1
O1 0.0000 0.0000 0.4718 1

# 8
# NaH9O5 PBE optimized geometry
# Energy relative to the lowest polymorph listed for this composition: 28 meV/atom
# Formation energy: -1.320 eV per atom
# Total magnetization: 0.00 μB/cell
# Largest piezoelectric modulus: 0.24 C/m²
data_NaH9O5
_chemical_formula_sum 'Na2 H18 O10'
_cell_length_a 4.361
_cell_length_b 7.920
_cell_length_c 9.128
_cell_angle_alpha 69.35
_cell_angle_beta 76.71
_cell_angle_gamma 75.94
_symmetry_space_group_name_H-M 'P 1'
_symmetry_Int_Tables_number 1
loop_
_symmetry_equiv_pos_as_xyz
'x,y,z'
loop_
_atom_site_label
_atom_site_fract_x
_atom_site_fract_y
_atom_site_fract_z
_atom_site_occupancy
Na1 0.000 0.000 0.000 1
Na2 0.093 0.529 0.281 1
H1 0.084 0.260 0.162 1
H2 0.092 0.868 0.335 1
H3 0.172 0.908 0.519 1
H4 0.262 0.121 0.308 1
H5 0.344 0.674 0.931 1
H6 0.472 0.310 0.809 1
H7 0.479 0.644 0.409 1
H8 0.502 0.467 0.549 1
H9 0.529 0.029 0.495 1
H10 0.545 0.506 0.779 1
H11 0.569 0.065 0.729 1
H12 0.602 0.272 0.114 1
H13 0.624 0.888 0.866 1
H14 0.631 0.219 0.464 1
H15 0.727 0.859 0.347 1
H16 0.800 0.410 0.968 1
H17 0.909 0.621 0.760 1
H18 0.982 0.659 0.946 1
O1 0.130 0.694 0.996 1
O2 0.241 0.252 0.230 1
O3 0.337 0.915 0.425 1
O4 0.433 0.437 0.740 1
O5 0.531 0.510 0.429 1
O6 0.550 0.021 0.848 1
O7 0.642 0.094 0.538 1
O8 0.740 0.618 0.851 1
O9 0.819 0.280 0.046 1
O10 0.942 0.836 0.283 1

# 9
# NaH9O5 PBE optimized geometry
# Energy relative to the lowest polymorph listed for this composition: 0 meV/atom
# Formation energy: -1.348 eV per atom
# Largest piezoelectric modulus: 0.08 C/m²
data_NaH9O5
_chemical_formula_sum 'Na4 H36 O20'
_cell_length_a 15.506
_cell_length_b 4.088
_cell_length_c 9.437
_cell_angle_alpha 90.00
_cell_angle_beta 116.79
_cell_angle_gamma 90.00
_symmetry_space_group_name_H-M 'C 1 2 1'
_symmetry_Int_Tables_number 5
loop_
_symmetry_equiv_pos_as_xyz
'x,y,z'
'-x,y,-z'
'x+1/2,y+1/2,z'
'-x+1/2,y+1/2,-z'
loop_
_atom_site_label
_atom_site_fract_x
_atom_site_fract_y
_atom_site_fract_z
_atom_site_occupancy
Na1 0.045 0.000 0.359 1
H1 0.042 0.501 0.886 1
H2 0.070 0.500 0.169 1
H3 0.148 0.194 0.703 1
H4 0.148 0.808 0.703 1
H5 0.192 0.304 0.110 1
H6 0.192 0.697 0.110 1
H7 0.199 0.500 0.897 1
H8 0.233 0.002 0.323 1
H9 0.240 0.190 0.476 1
O1 0.021 0.501 0.210 1
O2 0.108 0.001 0.643 1
O3 0.148 0.501 0.071 1
O4 0.209 0.999 0.403 1
O5 0.225 0.500 0.819 1

# 10
# NaHO PBE optimized geometry
# Formation energy: -1.481 eV per atom
# Total magnetization: 0.00 μB/cell
# Largest piezoelectric modulus: 2.48 C/m²
data_NaHO
_chemical_formula_sum 'Na2 H2 O2'
_cell_length_a 3.380
_cell_length_b 3.643
_cell_length_c 5.649
_cell_angle_alpha 90.00
_cell_angle_beta 100.19
_cell_angle_gamma 90.00
_symmetry_space_group_name_H-M 'P 1 m 1'
_symmetry_Int_Tables_number 6
loop_
_symmetry_equiv_pos_as_xyz
'x,y,z'
'x,-y,z'
loop_
_atom_site_label
_atom_site_fract_x
_atom_site_fract_y
_atom_site_fract_z
_atom_site_occupancy
Na1 0.000 0.000 0.000 1
Na2 0.186 0.500 0.575 1
H1 0.607 0.500 0.931 1
H2 0.629 0.000 0.420 1
O1 0.434 0.500 0.051 1
O2 0.703 0.000 0.594 1

# 11
# NaHO PBE optimized geometry
# Formation energy: -1.480 eV per atom
# Total magnetization: 0.00 μB/cell
# Largest piezoelectric modulus: 4.55 C/m²
data_NaHO
_chemical_formula_sum 'Na4 H4 O4'
_cell_length_a 11.390
_cell_length_b 3.585
_cell_length_c 3.352
_cell_angle_alpha 90.00
_cell_angle_beta 99.57
_cell_angle_gamma 90.00
_symmetry_space_group_name_H-M 'C 1 m 1'
_symmetry_Int_Tables_number 8
loop_
_symmetry_equiv_pos_as_xyz
'x,y,z'
'x,-y,z'
'x+1/2,y+1/2,z'
'x+1/2,-y+1/2,z'
loop_
_atom_site_label
_atom_site_fract_x
_atom_site_fract_y
_atom_site_fract_z
_atom_site_occupancy
Na1 0.000 0.000 0.000 1
Na2 0.212 0.500 0.445 1
H1 0.034 0.500 0.672 1
H2 0.295 0.000 0.070 1
O1 0.210 0.000 0.945 1
O2 0.484 0.000 0.408 1

# 12
# NaHO PBE optimized geometry
# Formation energy: -1.552 eV per atom
# Largest piezoelectric modulus: 1.05 C/m²
data_NaHO
_chemical_formula_sum 'Na2 H2 O2'
_cell_length_a 3.454
_cell_length_b 3.410
_cell_length_c 5.908
_cell_angle_alpha 90.00
_cell_angle_beta 105.80
_cell_angle_gamma 90.00
_symmetry_space_group_name_H-M 'P 1 21 1'
_symmetry_Int_Tables_number 4
loop_
_symmetry_equiv_pos_as_xyz
'x,y,z'
'-x,y+1/2,-z'
loop_
_atom_site_label
_atom_site_fract_x
_atom_site_fract_y
_atom_site_fract_z
_atom_site_occupancy
Na1 0.170 0.000 0.326 1
H1 0.447 0.933 0.896 1
O1 0.350 0.028 0.734 1

What is the formation energy in the seventh record? -1.504 eV per atom